[1]
DFT (r²SCAN) results for a relaxed structure of VReO4.

The structure belongs to space group P2_1/m (No. 11); the cell edges are 5.6395, 6.5836 and 7.3078 Å and the angles 90.00°, 112.67° and 90.00°. The asymmetric unit holds V at (0.1196, 0.2500, 0.2379), V at (0.3664, 0.7500, 0.7326), Re at (0.1541, 0.2500, 0.7513), Re at (0.4012, 0.7500, 0.2484), O at (0.0300, 0.7500, 0.0579), O at (0.1309, 0.5476, 0.7485), O at (0.2208, 0.7500, 0.4397), O at (0.2630, 0.2500, 0.5234), O at (0.3847, 0.0451, 0.2508) and O at (0.4891, 0.2500, 0.9775).

The energy relative to the elements comes out at -2.11 eV per atom. For the total energy, the calculation gives -17.17 eV/atom. The offset from the most stable computed form is 1 meV per atom.

[2]
DFT (r²SCAN) results for a relaxed structure of Y3ReO8.

The structure belongs to space group P2_1/c (No. 14); the cell edges are 7.2056, 6.0080 and 14.3981 Å and the angles 90.00°, 111.32° and 90.00°. The asymmetric unit holds Y at (0.0946, 0.2413, 0.2020), Y at (0.1619, 0.1995, 0.4452), Y at (0.3930, 0.6884, 0.3333), Re at (0.3209, 0.7454, 0.0901), O at (0.0840, 0.6944, 0.9797), O at (0.1478, 0.0290, 0.8426), O at (0.1671, 0.6457, 0.1704), O at (0.1883, 0.5289, 0.8269), O at (0.2483, 0.0460, 0.0960), O at (0.3802, 0.0538, 0.5885), O at (0.4664, 0.2034, 0.7859) and O at (0.4774, 0.6967, 0.5193).

The energy relative to the elements comes out at -3.11 eV per atom. For the total energy, the calculation gives -16.54 eV/atom.

[3]
DFT (r²SCAN) results for a relaxed structure of Y2ReO5.

The structure belongs to space group P4/n (No. 85, origin choice 2); the cell edges are 8.4984, 8.4984 and 5.6294 Å and the angles 90.00°, 90.00° and 90.00°. The asymmetric unit holds Y at (0.1008, 0.8905, 0.2496), Re at (0.2500, 0.2500, 0.1474), Re at (0.2500, 0.2500, 0.5444), O at (0.0471, 0.3437, 0.6040), O at (0.0478, 0.1540, 0.0966), O at (0.2500, 0.7500, 0.0000) and O at (0.2500, 0.7500, 0.5000).

The energy relative to the elements comes out at -3.07 eV per atom. For the total energy, the calculation gives -18.43 eV/atom.

Q: What is the energy relative to the elements in the first record?
A: -2.11 eV per atom